[1]
! SrNiO3, relaxed, DFT PBE with a Hubbard U; values from VASP
! Crystal system: orthorhombic
&SYSTEM
  ibrav = 0, nat = 20, ntyp = 3
/
ATOMIC_SPECIES
Sr 87.62 Sr.upf
Ni 58.69 Ni.upf
O 16.00 O.upf
ATOMIC_POSITIONS crystal
Sr 0.0000 0.0000 0.0000
Sr 0.0000 0.0000 0.4987
Sr 0.0000 0.5000 0.2522
Sr 0.0000 0.5000 0.7524
Ni 0.5000 0.0000 0.2485
Ni 0.5000 0.0000 0.7498
Ni 0.5000 0.5000 0.0033
Ni 0.5000 0.5000 0.5019
O 0.0000 0.0000 0.2457
O 0.0000 0.0000 0.7431
O 0.0000 0.5000 0.0059
O 0.0000 0.5000 0.5086
O 0.5000 0.2501 0.1258
O 0.5000 0.2496 0.3818
O 0.5000 0.2500 0.6259
O 0.5000 0.2503 0.8699
O 0.5000 0.7499 0.1258
O 0.5000 0.7504 0.3818
O 0.5000 0.7500 0.6259
O 0.5000 0.7497 0.8699
CELL_PARAMETERS angstrom
3.8934 0.0000 0.0000
0.0000 5.4838 0.0000
0.0000 0.0000 11.1297


[2]
! SrNiO3, relaxed, DFT PBE with a Hubbard U; values from VASP
! Crystal system: triclinic
&SYSTEM
  ibrav = 0, nat = 20, ntyp = 3
/
ATOMIC_SPECIES
Sr 87.62 Sr.upf
Ni 58.69 Ni.upf
O 16.00 O.upf
ATOMIC_POSITIONS crystal
Sr 0.0000 0.0000 0.0000
Sr 0.2501 0.4998 0.7497
Sr 0.5000 0.0000 0.5000
Sr 0.7499 0.5002 0.2503
Ni 0.1257 0.2513 0.3770
Ni 0.3729 0.7456 0.1191
Ni 0.6271 0.2544 0.8809
Ni 0.8743 0.7487 0.6230
O 0.0000 0.0000 0.5000
O 0.0000 0.5000 0.0000
O 0.0000 0.5000 0.5000
O 0.2445 0.9935 0.7428
O 0.2507 0.5032 0.2573
O 0.2516 0.0068 0.2566
O 0.5000 0.0000 0.0000
O 0.5000 0.5000 0.0000
O 0.5000 0.5000 0.5000
O 0.7484 0.9932 0.7434
O 0.7493 0.4968 0.7427
O 0.7555 0.0065 0.2572
CELL_PARAMETERS angstrom
5.5022 0.0000 0.0000
-2.7480 4.7685 0.0000
-0.0205 -3.1585 9.0893


[3]
SrNiO3 | PBE with a Hubbard U | relaxed Values from VASP.

```
&SYSTEM
  ibrav = 0, nat = 10, ntyp = 3
/
ATOMIC_SPECIES
O 16.00 O.upf
Ni 58.69 Ni.upf
Sr 87.62 Sr.upf
ATOMIC_POSITIONS crystal
O 0.7500 0.2500 0.7500
O 0.7500 0.7500 0.2500
O 0.2503 0.7503 0.7503
O 0.2500 0.7500 0.2500
O 0.7497 0.2497 0.2497
O 0.2500 0.2500 0.7500
Ni 0.4999 0.0002 0.9998
Ni 0.0001 0.4998 0.5002
Sr 0.2500 0.2500 0.2500
Sr 0.7500 0.7500 0.7500
CELL_PARAMETERS angstrom
5.5046 0.0014 0.0047
-2.7480 -2.7606 -3.9025
-2.7466 2.7592 -3.9025
```


[4]
SrNi4O8 | PBE with a Hubbard U | relaxed Values from VASP.

```
&SYSTEM
  ibrav = 0, nat = 26, ntyp = 3
/
ATOMIC_SPECIES
Ni 58.69 Ni.upf
O 16.00 O.upf
Sr 87.62 Sr.upf
ATOMIC_POSITIONS crystal
Ni 0.2500 0.0000 0.2501
Ni 0.7500 0.0000 0.7499
Ni 0.5000 0.0000 0.5000
Ni 0.0000 0.0000 0.0000
Ni 0.0000 0.0000 0.5000
Ni 0.2500 0.0000 0.7499
Ni 0.7500 0.0000 0.2501
Ni 0.5000 0.0000 0.0000
O 0.6823 0.1674 0.6166
O 0.0836 0.8327 0.1494
O 0.1822 0.1673 0.1165
O 0.3496 0.8327 0.8835
O 0.5804 0.8393 0.1398
O 0.1503 0.1674 0.6166
O 0.4163 0.1675 0.3506
O 0.9196 0.1608 0.3601
O 0.5837 0.8325 0.6494
O 0.4196 0.1607 0.8602
O 0.3177 0.8326 0.3834
O 0.9164 0.1673 0.8506
O 0.0804 0.8392 0.6399
O 0.6504 0.1673 0.1165
O 0.8497 0.8326 0.3834
O 0.8178 0.8327 0.8835
Sr 0.7500 0.5000 0.7500
Sr 0.2500 0.5000 0.2500
CELL_PARAMETERS angstrom
1.4889 4.3619 -3.3965
-1.8648 6.1686 2.2789
9.4188 -0.9053 2.9666
```


Number 1: energy relative to the elements -1.758 eV per atom. Number 2: energy relative to the elements -1.757 eV per atom. Number 3: energy relative to the elements -1.765 eV per atom. Number 4: energy relative to the elements -1.254 eV per atom.